Record 1
# ScU8S17

A relaxed ScU8S17 crystal (meta-GGA r2SCAN, the Materials Project database).

Cell lengths 7.948, 7.948, 10.591 Å; angles 80.32, 80.32, 64.74 degrees
Sites, in units of the cell vectors:
Sc (0.000, 0.000, 0.000)
U (0.795, 0.795, 0.461)
U (0.205, 0.205, 0.539)
U (0.699, 0.185, 0.701)
U (0.185, 0.699, 0.701)
U (0.815, 0.301, 0.299)
U (0.680, 0.680, 0.983)
U (0.320, 0.320, 0.017)
U (0.301, 0.815, 0.299)
S (0.480, 0.480, 0.168)
S (0.695, 0.695, 0.249)
S (0.569, 0.175, 0.467)
S (0.058, 0.670, 0.966)
S (0.208, 0.208, 0.277)
S (0.431, 0.825, 0.533)
S (0.520, 0.520, 0.832)
S (0.670, 0.058, 0.966)
S (0.940, 0.940, 0.235)
S (0.060, 0.060, 0.765)
S (0.305, 0.305, 0.751)
S (0.330, 0.942, 0.034)
S (0.825, 0.431, 0.533)
S (0.942, 0.330, 0.034)
S (0.175, 0.569, 0.467)
S (0.000, 0.000, 0.500)
S (0.792, 0.792, 0.723)

Its energy relative to the elements is -1.88 eV per atom. As for the raw total energy: -32.166 eV/atom.



Record 2
# LuCu2S2

A relaxed LuCu2S2 crystal (meta-GGA r2SCAN, the Materials Project database).

Cell lengths 3.909, 3.909, 6.136 Å; angles 90.00, 90.00, 120.00 degrees
Sites, in units of the cell vectors:
Lu (0.000, 0.000, 0.000)
Cu (0.667, 0.333, 0.665)
Cu (0.333, 0.667, 0.335)
S (0.667, 0.333, 0.260)
S (0.333, 0.667, 0.740)

Its energy relative to the elements is -0.87 eV per atom. As for the raw total energy: -16.039 eV/atom.



Record 3
# K2MnS2

A relaxed K2MnS2 crystal (meta-GGA r2SCAN, the Materials Project database).

Cell lengths 6.269, 6.873, 7.852 Å; angles 115.95, 113.53, 90.00 degrees
Sites, in units of the cell vectors:
K (0.353, 0.194, 0.705)
K (0.147, 0.488, 0.295)
K (0.647, 0.806, 0.295)
K (0.853, 0.512, 0.705)
Mn (0.250, 0.000, 0.000)
Mn (0.750, 0.000, 0.000)
S (0.397, 0.702, 0.793)
S (0.103, 0.908, 0.207)
S (0.603, 0.298, 0.207)
S (0.897, 0.092, 0.793)

Its energy relative to the elements is -1.33 eV per atom. As for the raw total energy: -9.884 eV/atom.



Record 4
# Zr5In3Ag

A relaxed Zr5In3Ag crystal (meta-GGA r2SCAN, the Materials Project database).

Cell lengths 8.757, 8.757, 5.974 Å; angles 90.00, 90.00, 120.00 degrees
Sites, in units of the cell vectors:
Zr (0.707, 0.707, 0.750)
Zr (0.293, 0.000, 0.750)
Zr (0.000, 0.293, 0.750)
Zr (0.293, 0.293, 0.250)
Zr (0.707, 0.000, 0.250)
Zr (0.000, 0.707, 0.250)
Zr (0.667, 0.333, 0.000)
Zr (0.333, 0.667, 0.000)
Zr (0.333, 0.667, 0.500)
Zr (0.667, 0.333, 0.500)
In (0.368, 0.368, 0.750)
In (0.632, 0.000, 0.750)
In (0.000, 0.632, 0.750)
In (0.632, 0.632, 0.250)
In (0.368, 0.000, 0.250)
In (0.000, 0.368, 0.250)
Ag (0.000, 0.000, 0.000)
Ag (0.000, 0.000, 0.500)

Its energy relative to the elements is -0.31 eV per atom. As for the raw total energy: -22.851 eV/atom.